Entry a
The following is a PBE calculation of a relaxed NaCeMg14 crystal, from the Materials Project database.

Calculated values
mass density: 2.2 Mg/m³
total magnetic moment: 0.0 μB per formula unit
crystal system: hexagonal

Cell: 6.5627 6.5627 10.3211 Å, 90.00 90.00 120.00°
Space group P-6m2 (No. 187)
Inequivalent atoms, fractional coordinates:
Na (0.0000, 0.0000, 0.0000) (multiplicity 1)
Ce (0.0000, 0.0000, 0.5000) (multiplicity 1)
Mg (0.0025, 0.5013, 0.0000) (multiplicity 3)
Mg (0.0116, 0.5058, 0.5000) (multiplicity 3)
Mg (0.1696, 0.3391, 0.2473) (multiplicity 6)
Mg (0.6667, 0.3333, 0.2568) (multiplicity 2)

=====

Entry b
The following is a PBE calculation of a relaxed NaCeMg14 crystal, from the Materials Project database.

Calculated values
mass density: 2.1 Mg/m³
total magnetic moment: 1.3 μB per formula unit
crystal system: orthorhombic

Cell: 10.455 6.499 11.500 Å, 90.00 90.00 90.00°
Space group Amm2 (No. 38)
Inequivalent atoms, fractional coordinates:
Na (0.000, 0.000, 0.000) (multiplicity 2)
Ce (0.000, 0.000, 0.501) (multiplicity 2)
Mg (0.000, 0.241, 0.755) (multiplicity 4)
Mg (0.247, 0.000, 0.168) (multiplicity 4)
Mg (0.256, 0.000, 0.667) (multiplicity 4)
Mg (0.261, 0.249, 0.414) (multiplicity 8)
Mg (0.500, 0.000, 0.002) (multiplicity 2)
Mg (0.500, 0.000, 0.502) (multiplicity 2)
Mg (0.500, 0.250, 0.250) (multiplicity 4)

=====

Looking at the structures above, which would you pick as the most stable? I would pick entry a.